# 1
Material: Ho2O3
Method: DFT, r²SCAN
State: relaxed

Lattice parameters (Å, degrees): 3.629 3.629 5.796 90.00 90.00 120.00
Fractional coordinates of all 5 atoms:
Ho 0.667 0.333 0.750
Ho 0.333 0.667 0.250
O 0.667 0.333 0.354
O 0.333 0.667 0.646
O 0.000 0.000 0.000

Summary:
- calculated density (g cm⁻³) = 9.5
- space group = P-3m1, No. 164
- crystal system = trigonal
- energy of formation from the pure elements (eV per atom) = -3.900
- total magnetization (μB/f.u.) = 0.0

# 2
Material: Ho2P4O13
Method: DFT, r²SCAN
State: relaxed

Lattice parameters (Å, degrees): 6.773 6.773 12.820 75.30 75.30 59.36
Fractional coordinates of all 38 atoms:
O 0.922 0.575 0.097
O 0.127 0.097 0.601
O 0.667 0.321 0.442
O 0.425 0.078 0.403
O 0.312 0.301 0.720
O 0.903 0.873 0.899
O 0.301 0.312 0.220
O 0.699 0.688 0.780
O 0.448 0.080 0.903
O 0.321 0.667 0.942
O 0.749 0.251 0.250
O 0.881 0.917 0.155
O 0.333 0.679 0.558
O 0.873 0.903 0.399
O 0.917 0.881 0.655
O 0.078 0.425 0.903
O 0.251 0.749 0.750
O 0.679 0.333 0.058
O 0.575 0.922 0.597
O 0.119 0.083 0.845
O 0.920 0.552 0.597
O 0.097 0.127 0.101
O 0.688 0.699 0.280
O 0.083 0.119 0.345
O 0.080 0.448 0.403
O 0.552 0.920 0.097
Ho 0.693 0.689 0.952
Ho 0.311 0.307 0.548
Ho 0.689 0.693 0.452
Ho 0.307 0.311 0.048
P 0.752 0.772 0.162
P 0.145 0.834 0.866
P 0.248 0.228 0.838
P 0.772 0.752 0.662
P 0.834 0.145 0.366
P 0.228 0.248 0.338
P 0.855 0.166 0.134
P 0.166 0.855 0.634

Summary:
- calculated density (g cm⁻³) = 4.5
- space group = C2/c, No. 15
- crystal system = monoclinic
- energy of formation from the pure elements (eV per atom) = -2.925
- total magnetization (μB/f.u.) = 0.0
- ΔE to the lowest computed polymorph (kJ per mole of atoms) = 2.2

# 3
Material: Ho2P4O13
Method: DFT, r²SCAN
State: relaxed

Lattice parameters (Å, degrees): 9.303 9.303 8.549 90.00 90.00 135.89
Fractional coordinates of all 38 atoms:
P 0.581 0.900 0.001
P 0.100 0.419 0.499
P 0.900 0.581 0.999
P 0.419 0.100 0.501
P 0.279 0.151 0.775
P 0.849 0.721 0.725
P 0.151 0.279 0.225
P 0.721 0.849 0.275
O 0.618 0.786 0.108
O 0.786 0.618 0.892
O 0.173 0.407 0.102
O 0.972 0.515 0.893
O 0.069 0.774 0.096
O 0.407 0.173 0.898
O 0.216 0.257 0.800
O 0.257 0.216 0.200
O 0.743 0.784 0.700
O 0.420 0.735 0.883
O 0.265 0.580 0.617
O 0.912 0.088 0.250
O 0.774 0.069 0.904
O 0.580 0.265 0.383
O 0.827 0.593 0.602
O 0.515 0.972 0.107
O 0.485 0.028 0.607
O 0.593 0.827 0.398
O 0.735 0.420 0.117
O 0.784 0.743 0.300
O 0.088 0.912 0.750
O 0.931 0.226 0.596
O 0.214 0.382 0.392
O 0.382 0.214 0.608
O 0.226 0.931 0.404
O 0.028 0.485 0.393
Ho 0.896 0.603 0.353
Ho 0.603 0.896 0.647
Ho 0.397 0.104 0.147
Ho 0.104 0.397 0.853

Summary:
- calculated density (g cm⁻³) = 4.3
- space group = C222_1, No. 20
- crystal system = orthorhombic
- energy of formation from the pure elements (eV per atom) = -2.948
- total magnetization (μB/f.u.) = 0.0
- ΔE to the lowest computed polymorph (kJ per mole of atoms) = 0.0

Question: What is the energy of formation from the pure elements in the first record?
Answer: -3.900 eV per atom

Question: Which formula does entry 3 have?
Answer: Ho2P4O13

Question: Which formula does entry 1 have?
Answer: Ho2O3